a:
{
  "formula": "MgTi4O8",
  "functional": "PBE",
  "state": "relaxed",
  "rho_g_cm3": 3.99,
  "crystal_system": "monoclinic",
  "volume_a3_per_atom": 11.00,
  "lattice": [[4.653, -3.116, 0.000], [4.653, 3.116, 0.000], [-4.161, 0.000, 4.929]],
  "species": ["Mg", "Ti", "Ti", "Ti", "Ti", "O", "O", "O", "O", "O", "O", "O", "O"],
  "frac_coords": [[0.000, 0.000, 0.000], [0.311, 0.311, 0.004], [0.317, 0.790, 0.536], [0.705, 0.705, 0.136], [0.790, 0.317, 0.536], [0.034, 0.034, 0.717], [0.062, 0.469, 0.222], [0.089, 0.556, 0.824], [0.469, 0.062, 0.222], [0.556, 0.089, 0.824], [0.562, 0.562, 0.761], [0.585, 0.585, 0.325], [0.983, 0.983, 0.293]]
}

***

b:
{
  "formula": "MgTi4O8",
  "functional": "PBE",
  "state": "relaxed",
  "rho_g_cm3": 4.09,
  "crystal_system": "triclinic",
  "volume_a3_per_atom": 10.73,
  "lattice": [[5.283, 0.000, 0.000], [1.304, 5.120, 0.000], [1.930, 0.759, 5.156]],
  "species": ["Mg", "Ti", "Ti", "Ti", "Ti", "O", "O", "O", "O", "O", "O", "O", "O"],
  "frac_coords": [[0.000, 0.000, 0.000], [0.284, 0.762, 0.433], [0.391, 0.303, 0.066], [0.609, 0.697, 0.934], [0.716, 0.238, 0.567], [0.068, 0.148, 0.294], [0.180, 0.663, 0.175], [0.412, 0.067, 0.795], [0.430, 0.568, 0.714], [0.570, 0.432, 0.286], [0.588, 0.933, 0.205], [0.820, 0.337, 0.825], [0.932, 0.852, 0.706]]
}

***

c:
{
  "formula": "MgTi4O8",
  "functional": "PBE",
  "state": "relaxed",
  "rho_g_cm3": 4.06,
  "crystal_system": "orthorhombic",
  "volume_a3_per_atom": 10.82,
  "lattice": [[10.036, 0.000, 0.000], [0.000, 1.460, 4.800], [0.000, -1.460, 4.800]],
  "species": ["Mg", "Ti", "Ti", "Ti", "Ti", "O", "O", "O", "O", "O", "O", "O", "O"],
  "frac_coords": [[0.000, 0.000, 0.000], [0.181, 0.748, 0.748], [0.329, 0.490, 0.490], [0.671, 0.490, 0.490], [0.819, 0.748, 0.748], [0.000, 0.657, 0.657], [0.129, 0.388, 0.388], [0.244, 0.112, 0.112], [0.346, 0.851, 0.851], [0.500, 0.553, 0.553], [0.654, 0.851, 0.851], [0.756, 0.112, 0.112], [0.871, 0.388, 0.388]]
}

***

d:
{
  "formula": "MgTi4O8",
  "functional": "PBE",
  "state": "relaxed",
  "rho_g_cm3": 3.62,
  "crystal_system": "orthorhombic",
  "volume_a3_per_atom": 12.12,
  "lattice": [[10.765, 0.000, 0.000], [0.000, 1.520, 4.814], [0.000, -1.520, 4.814]],
  "species": ["Mg", "Ti", "Ti", "Ti", "Ti", "O", "O", "O", "O", "O", "O", "O", "O"],
  "frac_coords": [[0.000, 0.000, 0.000], [0.215, 0.605, 0.605], [0.339, 0.862, 0.862], [0.661, 0.862, 0.862], [0.785, 0.605, 0.605], [0.000, 0.624, 0.624], [0.173, 0.969, 0.969], [0.264, 0.238, 0.238], [0.361, 0.502, 0.502], [0.500, 0.803, 0.803], [0.639, 0.502, 0.502], [0.736, 0.238, 0.238], [0.827, 0.969, 0.969]]
}

***

The computed energies, referenced to the most stable structure and given in meV/atom, are a 40; b 55; c 0; d 123.

***

a:
{
  "formula": "YMg6TiO8",
  "functional": "PBE",
  "state": "relaxed",
  "rho_g_cm3": 3.86,
  "crystal_system": "tetragonal",
  "volume_a3_per_atom": 11.04,
  "lattice": [[4.453, 0.000, 0.000], [0.000, 4.453, 0.000], [0.000, 0.000, 8.907]],
  "species": ["Y", "Mg", "Mg", "Mg", "Mg", "Mg", "Mg", "Ti", "O", "O", "O", "O", "O", "O", "O", "O"],
  "frac_coords": [[0.000, 0.000, 0.000], [0.000, 0.500, 0.265], [0.000, 0.500, 0.735], [0.500, 0.000, 0.265], [0.500, 0.000, 0.735], [0.500, 0.500, 0.000], [0.500, 0.500, 0.500], [0.000, 0.000, 0.500], [0.000, 0.000, 0.254], [0.000, 0.000, 0.746], [0.000, 0.500, 0.000], [0.000, 0.500, 0.500], [0.500, 0.000, 0.000], [0.500, 0.000, 0.500], [0.500, 0.500, 0.252], [0.500, 0.500, 0.748]]
}

***

b:
{
  "formula": "YMg6TiO8",
  "functional": "PBE",
  "state": "relaxed",
  "rho_g_cm3": 3.96,
  "crystal_system": "tetragonal",
  "volume_a3_per_atom": 10.77,
  "lattice": [[4.412, 0.000, 0.000], [0.000, 4.412, 0.000], [0.000, 0.000, 8.849]],
  "species": ["Y", "Mg", "Mg", "Mg", "Mg", "Mg", "Mg", "Ti", "O", "O", "O", "O", "O", "O", "O", "O"],
  "frac_coords": [[0.000, 0.000, 0.000], [0.000, 0.000, 0.500], [0.000, 0.500, 0.262], [0.000, 0.500, 0.738], [0.500, 0.000, 0.262], [0.500, 0.000, 0.738], [0.500, 0.500, 0.500], [0.500, 0.500, 0.000], [0.000, 0.000, 0.264], [0.000, 0.000, 0.736], [0.000, 0.500, 0.000], [0.000, 0.500, 0.500], [0.500, 0.000, 0.000], [0.500, 0.000, 0.500], [0.500, 0.500, 0.260], [0.500, 0.500, 0.740]]
}

***

The computed energies, referenced to the most stable structure and given in meV/atom, are a 58; b 0.

***

a:
{
  "formula": "MgTi2Zn2O6",
  "functional": "PBE",
  "state": "relaxed",
  "rho_g_cm3": 3.93,
  "crystal_system": "triclinic",
  "volume_a3_per_atom": 13.34,
  "lattice": [[5.234, 0.000, 0.000], [1.354, 5.411, 0.000], [1.827, 1.157, 5.179]],
  "species": ["Mg", "Ti", "Ti", "Zn", "Zn", "O", "O", "O", "O", "O", "O"],
  "frac_coords": [[0.000, 0.000, 0.000], [0.305, 0.893, 0.543], [0.695, 0.107, 0.457], [0.360, 0.309, 0.994], [0.640, 0.691, 0.006], [0.147, 0.056, 0.260], [0.309, 0.679, 0.887], [0.321, 0.183, 0.687], [0.679, 0.817, 0.313], [0.691, 0.321, 0.113], [0.853, 0.944, 0.740]]
}

***

b:
{
  "formula": "MgTi2Zn2O6",
  "functional": "PBE",
  "state": "relaxed",
  "rho_g_cm3": 4.86,
  "crystal_system": "trigonal",
  "volume_a3_per_atom": 10.78,
  "lattice": [[2.612, 1.508, 5.019], [-2.612, 1.508, 5.019], [0.000, -3.016, 5.019]],
  "species": ["Mg", "Ti", "Ti", "Zn", "Zn", "O", "O", "O", "O", "O", "O"],
  "frac_coords": [[0.000, 0.000, 0.000], [0.186, 0.186, 0.186], [0.647, 0.647, 0.647], [0.414, 0.414, 0.414], [0.829, 0.829, 0.829], [0.047, 0.409, 0.788], [0.248, 0.918, 0.585], [0.409, 0.788, 0.047], [0.585, 0.248, 0.918], [0.788, 0.047, 0.409], [0.918, 0.585, 0.248]]
}

***

c:
{
  "formula": "MgTi2Zn2O6",
  "functional": "PBE",
  "state": "relaxed",
  "rho_g_cm3": 4.06,
  "crystal_system": "triclinic",
  "volume_a3_per_atom": 12.90,
  "lattice": [[5.272, 0.000, 0.000], [1.943, 5.301, 0.000], [2.139, 1.303, 5.077]],
  "species": ["Mg", "Ti", "Ti", "Zn", "Zn", "O", "O", "O", "O", "O", "O"],
  "frac_coords": [[0.000, 0.000, 0.000], [0.293, 0.371, 0.341], [0.777, 0.516, 0.160], [0.484, 0.201, 0.830], [0.629, 0.751, 0.617], [0.122, 0.236, 0.141], [0.299, 0.072, 0.645], [0.502, 0.510, 0.509], [0.644, 0.288, 0.052], [0.752, 0.822, 0.886], [0.985, 0.677, 0.302]]
}

***

d:
{
  "formula": "MgTi2Zn2O6",
  "functional": "PBE",
  "state": "relaxed",
  "rho_g_cm3": 4.90,
  "crystal_system": "trigonal",
  "volume_a3_per_atom": 10.69,
  "lattice": [[2.577, 1.488, 5.110], [-2.577, 1.488, 5.110], [0.000, -2.976, 5.110]],
  "species": ["Mg", "Ti", "Ti", "Zn", "Zn", "O", "O", "O", "O", "O", "O"],
  "frac_coords": [[0.000, 0.000, 0.000], [0.350, 0.350, 0.350], [0.650, 0.650, 0.650], [0.170, 0.170, 0.170], [0.830, 0.830, 0.830], [0.057, 0.415, 0.755], [0.245, 0.943, 0.585], [0.415, 0.755, 0.057], [0.585, 0.245, 0.943], [0.755, 0.057, 0.415], [0.943, 0.585, 0.245]]
}

***

The computed energies, referenced to the most stable structure and given in meV/atom, are a 75; b 13; c 0; d 22.

***

a:
{
  "formula": "MgZr3U7O20",
  "functional": "PBE",
  "state": "relaxed",
  "rho_g_cm3": 9.43,
  "crystal_system": "triclinic",
  "volume_a3_per_atom": 12.98,
  "lattice": [[3.751, 0.000, 0.000], [0.002, 6.523, 0.000], [1.872, 0.906, 16.447]],
  "species": ["Mg", "Zr", "Zr", "Zr", "U", "U", "U", "U", "U", "U", "U", "O", "O", "O", "O", "O", "O", "O", "O", "O", "O", "O", "O", "O", "O", "O", "O", "O", "O", "O", "O"],
  "frac_coords": [[0.000, 0.000, 0.000], [0.435, 0.135, 0.132], [0.569, 0.868, 0.867], [0.751, 0.253, 0.498], [0.056, 0.378, 0.889], [0.156, 0.063, 0.688], [0.250, 0.751, 0.501], [0.345, 0.447, 0.310], [0.654, 0.553, 0.691], [0.845, 0.942, 0.311], [0.946, 0.623, 0.112], [0.024, 0.726, 0.945], [0.083, 0.027, 0.834], [0.128, 0.385, 0.745], [0.178, 0.732, 0.642], [0.228, 0.087, 0.546], [0.273, 0.418, 0.454], [0.322, 0.769, 0.357], [0.371, 0.121, 0.260], [0.423, 0.457, 0.155], [0.468, 0.864, 0.063], [0.532, 0.141, 0.935], [0.576, 0.545, 0.844], [0.630, 0.885, 0.739], [0.681, 0.233, 0.638], [0.727, 0.570, 0.546], [0.774, 0.933, 0.454], [0.820, 0.272, 0.361], [0.874, 0.614, 0.255], [0.918, 0.974, 0.165], [0.972, 0.274, 0.055]]
}

***

b:
{
  "formula": "MgZr3U7O20",
  "functional": "PBE",
  "state": "relaxed",
  "rho_g_cm3": 9.15,
  "crystal_system": "triclinic",
  "volume_a3_per_atom": 13.38,
  "lattice": [[3.723, 0.000, 0.000], [0.003, 6.472, 0.000], [1.854, 0.506, 17.210]],
  "species": ["Mg", "Zr", "Zr", "Zr", "U", "U", "U", "U", "U", "U", "U", "O", "O", "O", "O", "O", "O", "O", "O", "O", "O", "O", "O", "O", "O", "O", "O", "O", "O", "O", "O"],
  "frac_coords": [[0.000, 0.000, 0.000], [0.334, 0.436, 0.329], [0.566, 0.873, 0.867], [0.660, 0.568, 0.686], [0.060, 0.389, 0.879], [0.152, 0.072, 0.696], [0.245, 0.755, 0.510], [0.426, 0.122, 0.145], [0.745, 0.253, 0.508], [0.837, 0.935, 0.325], [0.928, 0.620, 0.142], [0.034, 0.752, 0.930], [0.084, 0.061, 0.831], [0.125, 0.423, 0.746], [0.176, 0.733, 0.648], [0.221, 0.085, 0.557], [0.270, 0.427, 0.458], [0.316, 0.758, 0.368], [0.359, 0.122, 0.280], [0.408, 0.451, 0.184], [0.456, 0.812, 0.084], [0.524, 0.108, 0.951], [0.575, 0.548, 0.849], [0.628, 0.873, 0.744], [0.672, 0.247, 0.653], [0.719, 0.580, 0.561], [0.768, 0.922, 0.462], [0.814, 0.275, 0.371], [0.861, 0.593, 0.277], [0.904, 0.943, 0.190], [0.961, 0.251, 0.077]]
}

***

c:
{
  "formula": "MgZr3U7O20",
  "functional": "PBE",
  "state": "relaxed",
  "rho_g_cm3": 8.98,
  "crystal_system": "triclinic",
  "volume_a3_per_atom": 13.63,
  "lattice": [[3.805, 0.000, 0.000], [0.178, 6.699, 0.000], [0.577, 2.543, 16.578]],
  "species": ["Mg", "Zr", "Zr", "Zr", "U", "U", "U", "U", "U", "U", "U", "O", "O", "O", "O", "O", "O", "O", "O", "O", "O", "O", "O", "O", "O", "O", "O", "O", "O", "O", "O"],
  "frac_coords": [[0.000, 0.000, 0.000], [0.075, 0.369, 0.868], [0.650, 0.303, 0.498], [0.658, 0.733, 0.136], [0.092, 0.067, 0.680], [0.128, 0.799, 0.500], [0.158, 0.535, 0.316], [0.222, 0.291, 0.117], [0.535, 0.815, 0.876], [0.595, 0.558, 0.684], [0.665, 0.037, 0.317], [0.033, 0.651, 0.910], [0.090, 0.366, 0.736], [0.099, 0.746, 0.641], [0.116, 0.118, 0.544], [0.137, 0.468, 0.456], [0.154, 0.848, 0.362], [0.169, 0.616, 0.169], [0.183, 0.211, 0.256], [0.215, 0.269, 0.987], [0.509, 0.857, 0.011], [0.569, 0.481, 0.831], [0.578, 0.893, 0.741], [0.598, 0.253, 0.632], [0.624, 0.609, 0.543], [0.634, 0.996, 0.454], [0.657, 0.730, 0.264], [0.660, 0.352, 0.360], [0.713, 0.459, 0.091], [0.857, 0.029, 0.120], [0.981, 0.053, 0.876]]
}

***

d:
{
  "formula": "MgZr3U7O20",
  "functional": "PBE",
  "state": "relaxed",
  "rho_g_cm3": 9.41,
  "crystal_system": "monoclinic",
  "volume_a3_per_atom": 13.00,
  "lattice": [[16.466, -1.879, 0.000], [16.466, 1.879, 0.000], [-0.309, 0.000, 6.513]],
  "species": ["Mg", "Zr", "Zr", "Zr", "U", "U", "U", "U", "U", "U", "U", "O", "O", "O", "O", "O", "O", "O", "O", "O", "O", "O", "O", "O", "O", "O", "O", "O", "O", "O", "O"],
  "frac_coords": [[0.000, 0.000, 0.000], [0.162, 0.162, 0.055], [0.253, 0.253, 0.748], [0.437, 0.437, 0.133], [0.066, 0.066, 0.368], [0.348, 0.348, 0.443], [0.569, 0.569, 0.867], [0.661, 0.661, 0.556], [0.754, 0.754, 0.247], [0.848, 0.848, 0.933], [0.948, 0.948, 0.610], [0.033, 0.033, 0.722], [0.093, 0.093, 0.039], [0.137, 0.137, 0.381], [0.186, 0.186, 0.738], [0.230, 0.230, 0.068], [0.277, 0.277, 0.430], [0.324, 0.324, 0.765], [0.374, 0.374, 0.112], [0.426, 0.426, 0.456], [0.479, 0.479, 0.892], [0.542, 0.542, 0.182], [0.589, 0.589, 0.541], [0.639, 0.639, 0.889], [0.683, 0.683, 0.220], [0.731, 0.731, 0.580], [0.777, 0.777, 0.911], [0.825, 0.825, 0.263], [0.876, 0.876, 0.607], [0.923, 0.923, 0.961], [0.974, 0.974, 0.274]]
}

***

The computed energies, referenced to the most stable structure and given in meV/atom, are a 11; b 19; c 0; d 25.